[1]
First-principles (PBE) data for crystalline NdZn at its relaxed geometry, as listed in the Materials Project.

Cell lengths 3.6863, 3.6863, 3.6863 Å; angles 90.00, 90.00, 90.00 degrees
Closest atoms and distances in Å follow each position.
Positions (direct):
Zn1 0.5000 0.5000 0.5000  8 Nd 3.19
Nd1 0.0000 0.0000 0.0000  8 Zn 3.19

Space group ... Pm-3m
DFT total energy ... -3.329 eV per atom

---

[2]
First-principles (PBE) data for crystalline CsSrSiHO4 at its relaxed geometry, as listed in the Materials Project.

Cell lengths 6.3393, 8.2593, 5.7804 Å; angles 90.00, 116.87, 90.00 degrees
Closest atoms and distances in Å follow each position.
Positions (direct):
H1 0.9116 0.9948 0.4779  1 O 1.04
H2 0.0884 0.4948 0.5221  1 O 1.04
Cs1 0.3844 0.8050 0.6496  2 H 3.06-3.12, 9 O 3.07-3.37
Cs2 0.6156 0.3050 0.3504  2 H 3.06-3.12, 9 O 3.07-3.37
O1 0.4813 0.6884 0.1992  1 Si 1.63
O2 0.7937 0.9189 0.5057  1 H 1.04
O3 0.9225 0.6090 0.5664  1 H 1.52, 1 Si 1.65
O4 0.8715 0.7695 0.1345  1 Si 1.65
O5 0.5187 0.1884 0.8008  1 Si 1.63
O6 0.0775 0.1090 0.4336  1 H 1.52, 1 Si 1.65
O7 0.1285 0.2695 0.8655  1 Si 1.65
O8 0.2063 0.4189 0.4943  1 H 1.04
Sr1 0.9014 0.0576 0.9707  5 O 2.42-2.71
Sr2 0.0986 0.5576 0.0293  5 O 2.42-2.71
Si1 0.7603 0.7398 0.3404  4 O 1.63-1.72
Si2 0.2397 0.2398 0.6596  4 O 1.63-1.72

Total magnetic moment ... 0.0 μB/cell
ΔE to the lowest computed polymorph ... 0.00 kJ/mol of atoms
Space group ... P2_1
DFT total energy ... -6.256 eV per atom

---

[3]
First-principles (PBE) data for crystalline NbSe2 at its relaxed geometry, as listed in the Materials Project.

Cell lengths 12.7028, 12.4613, 3.4848 Å; angles 86.00, 78.12, 15.88 degrees
Closest atoms and distances in Å follow each position.
Positions (direct):
Se1 0.8101 0.3263 0.6737  3 Nb 2.62
Se2 0.6737 0.1899 0.8101  3 Nb 2.62
Nb1 0.0752 0.9248 0.0752  6 Se 2.62

Space group ... Fmm2
DFT total energy ... -6.537 eV per atom

---

[4]
First-principles (PBE) data for crystalline Li4La5Ti6Nb2O26 at its relaxed geometry, as listed in the Materials Project.

Cell lengths 17.0161, 17.0161, 5.5745 Å; angles 90.00, 90.00, 161.16 degrees
Closest atoms and distances in Å follow each position.
Positions (direct):
O1 0.1983 0.3216 0.7591  2 Ti 1.97-1.98
O2 0.4191 0.0765 0.7509  1 Ti 1.98, 1 Nb 2.01
O3 0.4191 0.0765 0.2491  1 Ti 1.98, 1 Nb 2.01
O4 0.3216 0.1983 0.2409  2 Ti 1.97-1.98
O5 0.3834 0.6166 0.5000  1 Ti 1.99, 1 Nb 2.18
O6 0.6784 0.8017 0.7591  2 Ti 1.97-1.98
O7 0.5809 0.9235 0.7509  1 Ti 1.98, 1 Nb 2.01
O8 0.0000 0.0000 0.0000  2 Ti 1.95
O9 0.7654 0.2346 0.0000  1 Ti 1.80, 4 Li 2.00
O10 0.5000 0.5000 0.5000  2 Ti 1.93
O11 0.0765 0.4191 0.2491  1 Ti 1.98, 1 Nb 2.01
O12 0.2627 0.7373 0.5000  1 Nb 1.87, 4 Li 2.06
O13 0.6784 0.8017 0.2409  2 Ti 1.97-1.98
O14 0.8834 0.1166 0.0000  2 Ti 1.97-2.16
O15 0.5809 0.9235 0.2491  1 Ti 1.98, 1 Nb 2.01
O16 0.0765 0.4191 0.7509  1 Ti 1.98, 1 Nb 2.01
O17 0.7373 0.2627 0.5000  1 Nb 1.87, 4 Li 2.06
O18 0.3216 0.1983 0.7591  2 Ti 1.97-1.98
O19 0.6166 0.3834 0.5000  1 Ti 1.99, 1 Nb 2.18
O20 0.9235 0.5809 0.7509  1 Ti 1.98, 1 Nb 2.01
O21 0.1983 0.3216 0.2409  2 Ti 1.97-1.98
O22 0.2346 0.7654 0.0000  1 Ti 1.80, 4 Li 2.00
O23 0.8017 0.6784 0.2409  2 Ti 1.97-1.98
O24 0.1166 0.8834 0.0000  2 Ti 1.97-2.16
O25 0.8017 0.6784 0.7591  2 Ti 1.97-1.98
O26 0.9235 0.5809 0.2491  1 Ti 1.98, 1 Nb 2.01
Ti1 0.5574 0.4426 0.5000  6 O 1.93-1.99
Ti2 0.8191 0.1809 0.0000  5 O 1.80-1.98
Ti3 0.9420 0.0580 0.0000  6 O 1.95-1.98
Ti4 0.1809 0.8191 0.0000  5 O 1.80-1.98
Ti5 0.0580 0.9420 0.0000  6 O 1.95-1.98
Ti6 0.4426 0.5574 0.5000  6 O 1.93-1.99
La1 0.1179 0.8821 0.5000  12 O 2.66-2.79
La2 0.5000 0.5000 0.0000  12 O 2.78-2.81
La3 0.6182 0.3818 0.0000  12 O 2.66-2.79
La4 0.3818 0.6182 0.0000  12 O 2.66-2.79
La5 0.8821 0.1179 0.5000  12 O 2.66-2.79
Li1 0.5000 0.0000 0.2396  4 O 2.00-2.06
Li2 0.0000 0.5000 0.2396  4 O 2.00-2.06
Li3 0.5000 0.0000 0.7604  4 O 2.00-2.06
Li4 0.0000 0.5000 0.7604  4 O 2.00-2.06
Nb1 0.6814 0.3186 0.5000  5 O 1.87-2.01
Nb2 0.3186 0.6814 0.5000  5 O 1.87-2.01

Total magnetic moment ... 0.0 μB/cell
Space group ... Cmmm
DFT total energy ... -8.326 eV per atom